1.
RbB6H8O7, relaxed, DFT PBE; raw total energy = -5.84 eV/atom; space-group type = C2/c; crystal system = monoclinic
1.0
4.7224 6.8452 0.0000
-4.7224 6.8452 0.0000
0.0000 4.2089 12.8112
Rb B H O
4 24 32 28
Cartesian
1.5227 8.2137 10.1426
1.5227 11.7902 9.0742
-1.5227 9.6858 2.6686
-1.5227 6.1092 3.7370
-3.3755 9.6305 11.2926
-3.3755 10.3734 7.9242
3.3755 8.2689 1.5186
3.3755 7.5260 4.8870
4.6373 10.3002 10.4376
4.6373 9.7037 8.7792
-4.6373 7.5992 2.3736
-4.6373 8.1957 4.0320
-3.3625 11.3402 10.6675
-3.3625 8.6637 8.5493
3.3625 6.5593 2.1437
3.3625 9.2357 4.2619
-1.9166 10.3033 10.4568
-1.9166 9.7006 8.7601
1.9166 7.5962 2.3544
1.9166 8.1988 4.0512
0.4908 15.4594 10.1022
0.4908 4.5445 9.1146
-0.4908 2.4401 2.7090
-0.4908 13.3549 3.6966
-2.4464 8.6288 10.1172
-2.4464 11.3750 9.0996
2.4464 9.2706 2.6940
2.4464 6.5244 3.7116
0.3405 11.9896 0.2188
0.3405 3.8053 6.1868
-0.3405 5.9098 12.5924
-0.3405 14.0941 6.6244
3.3716 11.1834 11.7835
3.3716 8.8204 7.4333
-3.3716 6.7160 1.0277
-3.3716 9.0790 5.3779
-2.6876 12.5293 12.1779
-2.6876 7.4746 7.0389
2.6876 5.3701 0.6333
2.6876 10.4248 5.7723
-0.6972 11.3803 11.6471
-0.6972 8.6236 7.5697
0.6972 6.5191 1.1641
0.6972 9.2759 5.2415
-1.6921 7.1578 11.3531
-1.6921 12.8461 7.8637
1.6921 10.7416 1.4581
1.6921 5.0534 4.9475
-0.6470 13.7441 9.8391
-0.6470 6.2598 9.3777
0.6470 4.1554 2.9721
0.6470 11.6396 3.4335
0.4663 4.4642 0.7246
0.4663 11.3307 5.6810
-0.4663 13.4352 12.0866
-0.4663 6.5687 7.1302
0.1942 9.6668 12.2583
0.1942 10.3371 6.9585
-0.1942 8.2326 0.5529
-0.1942 7.5623 5.8527
-3.4377 9.3844 12.7280
-3.4377 10.6194 6.4889
3.4377 8.5150 0.0833
3.4377 7.2800 6.3223
3.3511 10.5261 11.0507
3.3511 9.4778 8.1662
-3.3511 7.3733 1.7605
-3.3511 8.4216 4.6451
-3.4497 12.4844 11.5596
-3.4497 7.5195 7.6572
3.4497 5.4150 1.2516
3.4497 10.3800 5.1540
-0.6361 10.5463 11.1014
-0.6361 9.4576 8.1155
0.6361 7.3531 1.7099
0.6361 8.4419 4.6957
-1.6064 7.4796 10.4317
-1.6064 12.5243 8.7851
1.6064 10.4198 2.3795
1.6064 5.3751 4.0261
-0.2689 14.3088 10.5535
-0.2689 5.6951 8.6633
0.2689 3.5906 2.2577
0.2689 12.2043 4.1479
0.8670 5.1462 0.1249
0.8670 10.6487 6.2807
-0.8670 12.7532 12.6863
-0.8670 7.2507 6.5305



2.
SmB9H6O18, relaxed, DFT PBE; raw total energy = -7.29 eV/atom; space-group type = P2_1/c; crystal system = monoclinic
1.0
7.8138 0.0000 0.0000
0.0000 16.8062 0.0000
-7.8002 0.0000 9.9002
Sm B H O
4 36 24 72
Cartesian
1.9000 4.8637 6.3180
5.8001 3.5394 1.3679
-1.8864 11.9425 3.5822
-5.7865 13.2668 8.5323
-2.9131 6.6853 5.3717
0.9870 1.7178 0.4216
2.9267 10.1209 4.5284
-0.9734 15.0884 9.4785
-1.2770 4.9393 6.3260
2.6231 3.4638 1.3760
1.2906 11.8669 3.5741
-2.6095 13.3424 8.5242
2.5986 7.7732 6.0189
6.4987 0.6299 1.0688
-2.5850 9.0330 3.8812
-6.4851 16.1763 8.8313
-2.8048 3.0707 5.1223
1.0953 5.3324 0.1722
2.8185 13.7355 4.7778
-1.0816 11.4738 9.7279
-2.8183 3.2710 7.6769
1.0818 5.1321 2.7268
2.8319 13.5352 2.2233
-1.0681 11.6741 7.1733
-3.2281 1.1218 6.5682
0.6720 7.2813 1.6181
3.2417 15.6844 3.3319
-0.6584 9.5249 8.2820
3.1169 3.9972 3.7284
-0.7832 4.4059 8.6785
-3.1033 12.8090 6.1717
0.7968 12.4003 1.2216
-4.7194 4.2514 8.9915
-0.8193 4.1517 4.0415
4.7330 12.5548 0.9086
0.8329 12.6545 5.8587
-5.0105 10.0335 7.0322
-1.1104 15.1758 2.0821
5.0242 6.7727 2.8679
1.1241 1.6304 7.8180
-3.8871 16.1254 5.9311
0.0130 9.0839 0.9811
3.9007 0.6808 3.9690
0.0006 7.7223 8.9191
0.6456 7.5861 6.7995
4.5457 0.8170 1.8494
-0.6319 9.2201 3.1006
-4.5320 15.9892 8.0507
-1.8721 8.5433 5.8462
2.0280 16.6660 0.8961
1.8857 8.2629 4.0540
-2.0144 0.1402 9.0040
1.1460 1.8976 5.7848
5.0461 6.5055 0.8348
-1.1323 14.9086 4.1153
-5.0324 10.3007 9.0654
-3.8824 7.4390 8.8000
0.0177 0.9641 3.8499
3.8960 9.3672 1.1002
-0.0041 15.8421 6.0502
-2.6133 6.7483 8.2454
1.2868 1.6548 3.2953
2.6269 10.0579 1.6548
-1.2732 15.1514 6.6049
-4.8746 8.6735 7.1092
-0.9745 16.5358 2.1591
4.8883 8.1327 2.7910
0.9882 0.2704 7.7410
-3.6245 16.6193 6.7461
0.2756 8.5900 1.7960
3.6382 0.1869 3.1541
-0.2619 8.2162 8.1042
-2.0260 6.1326 6.3507
1.8741 2.2705 1.4006
2.0396 10.6736 3.5495
-1.8605 14.5357 8.4996
-0.3477 4.8924 7.4843
3.5524 3.5107 2.5342
0.3613 11.9138 2.4158
-3.5388 13.2955 7.3659
1.9539 4.7294 3.8406
-1.9462 3.6737 8.7907
-1.9402 12.0768 6.0595
1.9599 13.1325 1.1095
1.2957 7.1158 6.2120
5.1958 1.2873 1.2619
-1.2820 9.6904 3.6882
-5.1821 15.5189 8.6383
-0.3638 4.7260 5.1924
3.5363 3.6771 0.2423
0.3775 12.0802 4.7078
-3.5226 13.1291 9.6579
-2.5020 8.1922 5.1896
1.3981 0.2109 0.2396
2.5157 8.6140 4.7105
-1.3844 16.5953 9.6606
-5.8179 5.0869 8.9254
-1.9178 3.3162 3.9753
5.8316 11.7193 0.9748
1.9315 13.4900 5.9248
-4.1031 4.0361 7.7814
-0.2030 4.3670 2.8313
4.1168 12.7701 2.1188
0.2167 12.4392 7.0689
-3.0265 1.8467 7.7118
0.8736 6.5564 2.7618
3.0401 14.9595 2.1883
-0.8600 10.2498 7.1384
3.6946 3.7410 4.9416
-0.2055 4.6621 9.8916
-3.6810 13.0652 4.9586
0.2191 12.1441 0.0085
-2.7840 6.0787 4.0399
-6.6841 2.3244 8.9900
2.7976 10.7275 5.8602
6.6977 14.4818 0.9102
-3.0482 1.6447 5.3053
0.8519 6.7584 0.3552
3.0618 15.1615 4.5948
-0.8383 10.0478 9.5449
-2.1761 3.6601 6.3733
1.7240 4.7430 1.4232
2.1897 13.1461 3.5269
-1.7104 12.0632 8.4769
-4.3117 6.6459 5.8494
-0.4116 1.7572 0.8993
4.3254 10.1603 4.0508
0.4253 15.0490 9.0008
1.2702 2.3927 6.6432
5.1703 6.0104 1.6931
-1.2565 14.4135 3.2569
-5.1566 10.7958 8.2070
-3.0856 6.9556 9.0894
0.8145 1.4475 4.1394
3.0993 9.8506 0.8107
-0.8008 15.3587 5.7608



3.
SmB7H7O17, relaxed, DFT PBE; raw total energy = -6.81 eV/atom; space-group type = P-1; crystal system = triclinic
1.0
6.9153 0.0000 0.0000
-1.3788 7.0954 0.0000
-2.8145 -3.4799 13.3509
Sm B H O
2 14 14 34
Cartesian
-0.7126 3.5789 7.2802
3.4345 0.0365 6.0708
-2.3407 2.1414 10.0445
0.4390 5.6754 3.3020
5.0627 1.4741 3.3064
2.2830 -2.0599 10.0489
2.7504 3.5818 7.1622
-0.0284 0.0336 6.1887
-1.1428 0.7612 8.3422
1.6429 4.3127 5.0073
3.8648 2.8542 5.0087
1.0791 -0.6972 8.3437
-0.6993 3.5710 4.1717
3.4212 0.0444 9.1792
2.5250 1.5789 13.3185
0.1970 2.0365 0.0324
0.0411 0.2165 10.0974
2.6809 3.3989 3.2536
1.8124 2.1310 8.2945
-2.3363 5.6828 5.0371
0.9095 1.4845 5.0565
5.0583 -2.0673 8.3139
2.5720 1.1665 11.3278
5.3322 4.8470 1.9945
0.1500 2.4489 2.0231
-2.6102 -1.2316 11.3565
-2.7165 3.0903 11.7993
0.1881 6.4817 1.4903
5.4384 0.5252 1.5517
2.5339 -2.8662 11.8606
-2.1616 3.1045 10.9825
1.9658 -0.4398 2.3792
4.8836 0.5110 2.3685
0.7561 4.0552 10.9718
2.0653 0.9647 12.1815
4.7222 4.8665 1.1857
0.6567 2.6508 1.1694
-2.0002 -1.2510 12.1653
-0.0395 0.0216 9.0959
2.7614 3.5938 4.2550
3.5293 1.2423 10.0460
-0.5806 4.7412 3.2705
-0.8073 2.3732 3.3050
3.3025 -1.1257 10.0804
-3.3269 2.4375 13.3336
6.0488 1.1779 0.0173
1.6200 3.0282 7.9451
-1.1480 -0.5147 5.3854
1.1019 0.5873 5.4059
3.8699 4.1301 7.9656
-0.6464 1.1101 7.0176
2.1512 4.6601 6.3263
3.3683 2.5054 6.3333
0.5708 -1.0446 7.0246
0.4586 3.4632 5.0903
4.5780 -0.0746 8.2618
2.2634 0.1522 8.2607
-1.8561 3.6900 5.0891
-1.3688 2.0354 9.0410
1.3884 5.5899 4.3277
4.0907 1.5800 4.3099
1.3335 -1.9745 9.0232
-0.0861 0.6133 11.6704
2.8080 3.0022 1.6806



4.
SmB7H8O16, relaxed, DFT PBE; raw total energy = -6.96 eV/atom; space-group type = P-1; crystal system = triclinic
1.0
6.8758 0.0000 0.0000
-1.5330 7.0999 0.0000
-1.8447 -1.5069 12.6461
Sm B H O
2 14 16 32
Cartesian
3.1860 4.5985 6.8892
0.3122 0.9945 5.7569
3.0724 4.5029 3.8005
0.4258 1.0901 8.8456
2.7584 1.7805 7.9589
0.7397 3.8125 4.6873
4.9640 0.3123 8.0155
-1.4659 5.2807 4.6306
-0.3528 4.5774 6.8180
3.8509 1.0156 5.8282
1.6218 3.1464 9.6864
1.8764 2.4465 2.9598
4.1473 6.6020 2.9362
-0.6492 -1.0090 9.7099
2.5652 0.9343 12.4005
0.9329 4.6586 0.2456
-1.2292 3.1884 8.0590
4.7273 2.4046 4.5871
3.6054 0.7775 9.7102
-0.1073 4.8154 2.9360
0.6250 6.0296 7.8924
2.8731 -0.4366 4.7537
-0.2336 0.8867 1.9482
3.7317 4.7063 10.6980
1.2955 4.0464 11.4498
2.2026 1.5465 1.1963
4.0859 3.1980 1.5961
-0.5878 2.3949 11.0500
1.0606 -0.0701 11.5059
2.4375 5.6630 1.1403
4.2561 1.4905 11.5314
-0.7579 4.1024 1.1147
1.9597 4.5925 4.7788
1.5384 1.0005 7.8673
3.1304 5.6823 2.9197
0.3677 -0.0894 9.7265
4.5337 -0.0392 6.6577
-1.0356 5.6322 5.9884
2.5574 3.0655 8.6516
0.9407 2.5275 3.9945
3.3198 2.1131 6.6688
0.1784 3.4798 5.9774
2.9470 3.3026 2.9314
0.5511 2.2903 9.7147
-1.4273 4.0802 7.6986
4.9254 1.5127 4.9475
5.2385 -0.9474 8.7094
-1.7404 6.5403 3.9367
3.8009 0.9785 8.7377
-0.3028 4.6145 3.9085
0.8157 5.1379 7.5340
2.6825 0.4550 5.1121
4.2611 4.3944 4.6839
-0.7630 1.1986 7.9622
5.7731 0.4219 1.9414
-2.2750 5.1710 10.7047
1.9003 4.0567 10.6660
1.5978 1.5362 1.9801
4.7593 3.1829 0.8628
-1.2612 2.4100 11.7833
1.3656 0.2624 12.3834
2.1326 5.3305 0.2627
3.4422 0.9322 11.3298
0.0559 4.6607 1.3163



5.
Sr2B11HO21, relaxed, DFT PBE; raw total energy = -7.31 eV/atom; space-group type = Cc; crystal system = monoclinic
1.0
5.9200 3.3580 0.0000
-5.9200 3.3580 0.0000
0.0000 0.6205 21.2265
Sr B H O
4 22 2 42
Cartesian
-2.2307 2.9658 2.7488
2.2307 3.2760 13.3621
-0.4081 6.4449 0.4538
0.4081 6.7551 11.0671
-0.1802 3.0955 10.1637
0.1802 3.4057 20.7770
2.3252 3.3036 10.1941
-2.3252 3.6139 20.8073
1.1437 3.1753 8.0667
-1.1437 3.4855 18.6799
-0.3044 6.4043 3.3841
0.3044 6.7146 13.9974
3.1073 3.2455 3.4428
-3.1073 3.5558 14.0561
1.2504 1.6777 2.9348
-1.2504 1.9879 13.5481
2.5092 2.6019 21.1518
-2.5092 2.2916 10.5385
4.4581 3.1429 5.5049
-4.4581 3.4531 16.1181
-0.7814 4.3677 13.6603
0.7814 4.0575 3.0470
-2.0297 4.6820 10.6423
2.0297 4.3717 0.0291
-2.4082 3.1284 6.1559
2.4082 3.4386 16.7692
-5.0793 3.3594 8.4614
5.0793 3.6696 19.0747
-0.6827 4.4179 10.6485
0.6827 4.1077 0.0352
-0.2296 4.9728 2.9101
0.2296 5.2830 13.5234
-1.1695 2.0193 10.4982
1.1695 2.3296 21.1115
4.3759 3.6111 2.8024
-4.3759 3.9213 13.4157
-1.3183 3.0922 5.3178
1.3183 3.4025 15.9310
-2.5590 3.1387 7.4836
2.5590 3.4489 18.0969
4.5694 3.1273 6.8879
-4.5694 3.4376 17.5011
-3.4159 3.1511 5.1911
3.4159 3.4613 15.8044
-5.0655 3.7339 2.7470
5.0655 4.0441 13.3603
-0.2714 6.4869 4.8247
0.2714 6.7972 15.4380
-1.0939 2.4170 0.1691
1.0939 2.7272 10.7823
-0.0744 3.1810 8.6940
0.0744 3.4913 19.3073
1.0983 3.1181 6.6813
-1.0983 3.4284 17.2946
0.3375 2.7202 3.0178
-0.3375 3.0304 13.6310
-2.1179 4.6318 13.7095
2.1179 4.3216 3.0962
3.5138 2.6337 10.7846
-3.5138 2.3234 0.1713
3.2346 3.1653 4.9030
-3.2346 3.4756 15.5163
-2.3916 4.4337 0.0256
2.3916 4.7439 10.6389
2.9491 3.9464 21.1967
-2.9491 3.6361 10.5834
2.3356 3.2106 8.7389
-2.3356 3.5208 19.3521
2.5939 1.9358 2.9348
-2.5939 2.2460 13.5481